1.
VASP calculation (PBE+U) on Li9Mn2Co5O16 after structural relaxation.

Structure (extended XYZ):
```
32
Lattice="5.239 0.000 0.000 0.000 2.867 0.000 -2.535 0.000 19.439" Properties=species:S:1:pos:R:3 pbc="T T T"
Li 0.000 0.000 0.000
Li -0.627 1.433 4.826
Li -1.232 0.000 9.614
Li -0.276 1.433 12.165
Li 1.078 1.433 2.416
Li 1.969 0.000 4.865
Li 0.721 0.000 14.583
Li 2.849 1.433 7.105
Li 1.700 1.433 17.035
Mn 1.342 1.433 9.664
Mn 3.330 1.433 14.556
Co 0.159 0.000 7.042
Co -0.857 0.000 17.019
Co 2.603 1.433 0.023
Co 2.289 0.000 12.107
Co 3.805 0.000 2.554
O 0.091 0.000 3.501
O -1.163 0.000 13.410
O -1.599 1.433 18.082
O -0.185 1.433 8.522
O -0.154 1.433 15.921
O 1.129 1.433 6.121
O 1.799 0.000 1.048
O 0.565 0.000 10.755
O 0.863 0.000 18.303
O 1.555 1.433 13.190
O 2.161 0.000 8.679
O 2.895 1.433 3.454
O 2.931 1.433 10.940
O 4.257 1.433 1.292
O 2.570 0.000 15.647
O 3.854 0.000 6.162
```

Values from the calculation:
total energy	-180.74	eV/f.u.

2.
VASP calculation (PBE+U) on Fe2S2O13 after structural relaxation.

Structure (extended XYZ):
```
34
Lattice="6.973 0.000 0.000 0.452 7.183 0.000 1.397 0.152 10.884" Properties=species:S:1:pos:R:3 pbc="T T T"
Fe 1.322 1.359 4.838
Fe 2.138 5.615 3.068
Fe 6.685 1.720 7.816
Fe 7.501 5.975 6.046
S 2.283 3.499 7.192
S 3.028 1.025 2.022
S 5.794 6.309 8.862
S 6.539 3.836 3.693
O 1.476 1.548 10.554
O 0.741 4.283 2.847
O 1.335 6.677 4.370
O 2.001 4.916 6.761
O 2.624 5.168 10.805
O 2.362 2.666 5.952
O 2.659 6.914 1.775
O 2.613 1.522 3.398
O 3.494 3.452 7.989
O 2.598 1.950 0.983
O 3.523 4.945 3.785
O 4.379 6.618 8.861
O 4.109 7.074 5.687
O 4.714 0.260 5.197
O 4.444 0.717 2.023
O 5.299 2.390 7.099
O 6.224 5.385 9.901
O 5.329 3.882 2.896
O 6.210 5.812 7.487
O 6.164 0.421 9.109
O 6.461 4.669 4.933
O 6.198 2.166 0.079
O 6.822 2.419 4.123
O 7.488 0.658 6.514
O 8.081 3.052 8.038
O 7.347 5.786 0.331
```

Values from the calculation:
total energy	-98.38	eV/f.u.

3.
VASP calculation (PBE+U) on LiCr2P3O12 after structural relaxation.

Structure (extended XYZ):
```
72
Lattice="-5.800 5.800 5.786 5.800 -5.800 5.786 5.800 5.800 -5.786" Properties=species:S:1:pos:R:3 pbc="T T T"
Li 5.800 2.900 -1.447
Li 0.000 2.900 1.447
Li 5.800 2.900 4.340
Li 0.000 2.900 7.233
Cr 0.000 0.000 0.000
Cr 2.900 2.900 -2.893
Cr 2.900 -2.900 2.893
Cr 5.800 0.000 0.000
Cr -2.900 2.900 2.893
Cr 0.000 5.800 0.000
Cr 0.000 0.000 5.786
Cr 2.900 2.900 2.893
P 2.900 1.438 0.000
P 5.800 -2.900 4.340
P 1.461 0.000 2.893
P 7.261 0.000 2.893
P 5.800 2.900 1.447
P 2.900 -1.438 5.786
P 2.900 7.238 0.000
P 0.000 2.900 4.340
P -1.461 5.800 2.893
P 4.338 5.800 2.893
P 0.000 8.700 1.447
P 2.900 4.361 5.786
O 9.826 -0.512 0.521
O 4.708 3.406 -3.354
O 4.708 -2.394 3.354
O 4.027 0.512 0.521
O 6.308 -0.538 1.780
O 2.388 -1.127 2.373
O 3.438 2.392 -1.113
O 5.294 -3.991 5.325
O 6.306 1.808 0.461
O 2.388 4.673 -2.373
O 8.162 3.408 -1.113
O 0.508 0.538 1.780
O 6.308 5.262 -1.780
O 2.362 2.392 1.113
O 8.187 1.127 2.373
O 0.506 3.991 -0.461
O 5.294 3.991 0.461
O 3.438 -2.392 6.900
O 2.388 1.127 3.414
O 6.308 0.538 4.006
O 4.027 -0.512 5.266
O 4.708 2.394 2.432
O -1.092 2.394 3.354
O 4.027 6.312 -0.521
O 1.773 -0.512 6.307
O 6.891 3.406 2.432
O 1.092 3.406 3.354
O 1.773 6.312 0.521
O -0.508 5.262 1.780
O 3.412 4.673 2.373
O 2.362 8.192 -1.113
O 0.506 1.808 5.325
O 5.294 1.808 6.247
O -2.388 4.673 3.414
O 3.438 3.408 4.673
O -0.508 0.538 7.566
O 5.292 5.262 4.006
O -2.362 2.392 6.900
O 3.412 1.127 8.159
O -0.506 3.991 5.325
O 0.506 9.791 0.461
O 2.362 3.408 6.900
O 3.412 6.927 3.414
O -0.508 6.337 4.006
O 1.773 5.288 5.266
O 1.092 8.194 2.432
O 1.092 2.394 9.141
O -4.027 6.312 5.266
```

Values from the calculation:
total energy	-127.76	eV/f.u.

4.
VASP calculation (PBE+U) on CoH17S2N5ClO4 after structural relaxation.

Structure (extended XYZ):
```
120
Lattice="13.521 0.000 0.000 0.000 8.367 0.000 0.000 0.000 10.377" Properties=species:S:1:pos:R:3 pbc="T T T"
Co 2.227 2.092 2.548
Co 4.534 6.275 7.737
Co 8.987 2.092 2.641
Co 11.294 6.275 7.829
H 0.093 0.985 1.397
H 0.093 3.199 1.397
H 0.161 0.390 2.929
H 0.159 2.092 7.425
H 0.161 3.794 2.929
H 1.129 4.418 1.734
H 1.129 8.132 1.734
H 1.200 2.092 8.563
H 1.268 1.263 4.823
H 1.268 2.920 4.823
H 2.554 4.529 7.351
H 2.554 8.021 7.351
H 2.565 5.016 8.935
H 2.565 7.534 8.935
H 2.664 2.092 5.060
H 3.118 4.497 3.221
H 3.118 8.053 3.221
H 3.642 0.314 8.409
H 3.642 3.870 8.409
H 4.097 6.275 10.249
H 4.195 0.833 3.746
H 4.195 3.351 3.746
H 4.206 0.345 2.162
H 4.206 3.838 2.162
H 5.492 5.446 10.012
H 5.492 7.104 10.012
H 5.560 6.275 3.375
H 5.632 0.235 6.923
H 5.632 3.949 6.923
H 6.599 4.573 8.117
H 6.602 6.275 2.236
H 6.599 7.977 8.117
H 6.667 5.168 6.586
H 6.667 7.382 6.586
H 6.854 0.985 3.791
H 6.854 3.199 3.791
H 6.922 0.390 2.260
H 6.919 2.092 8.141
H 6.922 3.794 2.260
H 7.889 4.418 3.455
H 7.889 8.132 3.455
H 7.961 2.092 7.003
H 8.029 1.263 0.365
H 8.029 2.920 0.365
H 9.314 4.529 8.215
H 9.314 8.021 8.215
H 9.326 5.016 6.631
H 9.326 7.534 6.631
H 9.424 2.092 0.128
H 9.879 4.497 1.968
H 9.879 8.053 1.968
H 10.402 0.314 7.157
H 10.402 3.870 7.157
H 10.857 6.275 5.317
H 10.955 0.833 1.442
H 10.955 3.351 1.442
H 10.967 0.345 3.027
H 10.967 3.838 3.027
H 12.253 5.446 5.554
H 12.253 7.104 5.554
H 12.320 6.275 1.814
H 12.392 0.235 8.644
H 12.392 3.949 8.644
H 13.360 4.573 7.449
H 13.362 6.275 2.953
H 13.360 7.977 7.449
H 13.428 5.168 8.980
H 13.428 7.382 8.980
S 1.948 6.275 5.204
S 2.741 2.092 0.318
S 4.019 6.275 5.507
S 4.813 2.092 0.015
S 8.708 6.275 10.362
S 9.502 2.092 4.871
S 10.780 6.275 10.059
S 11.573 2.092 5.173
N 0.741 0.639 2.120
N 0.741 3.545 2.120
N 1.790 2.092 4.517
N 3.170 4.742 8.143
N 3.170 7.809 8.143
N 3.590 0.558 2.955
N 3.590 3.625 2.955
N 4.971 6.275 9.706
N 6.020 4.822 7.308
N 6.020 7.728 7.308
N 7.501 0.639 3.069
N 7.501 3.545 3.069
N 8.550 2.092 0.671
N 9.931 4.742 7.423
N 9.931 7.809 7.423
N 10.350 0.558 2.234
N 10.350 3.625 2.234
N 11.731 6.275 5.860
N 12.780 4.822 8.258
N 12.780 7.728 8.258
Cl 1.389 6.275 0.134
Cl 5.371 2.092 5.323
Cl 8.150 6.275 5.055
Cl 12.132 2.092 10.243
O 1.124 2.092 7.591
O 1.378 5.047 5.796
O 1.378 7.503 5.796
O 1.868 6.275 3.723
O 4.892 2.092 8.911
O 5.382 0.864 0.607
O 5.382 3.320 0.607
O 5.637 6.275 2.402
O 7.884 2.092 7.975
O 8.139 5.047 9.771
O 8.139 7.503 9.771
O 8.628 6.275 1.466
O 11.653 2.092 6.655
O 12.143 0.864 4.582
O 12.143 3.320 4.582
O 12.397 6.275 2.786
```

Values from the calculation:
total energy	-152.54	eV/f.u.

5.
VASP calculation (PBE+U) on La4FeAs4Ru3O4 after structural relaxation.

Structure (extended XYZ):
```
32
Lattice="-2.468 2.356 4.712 8.498 -2.513 5.707 7.312 7.591 0.033" Properties=species:S:1:pos:R:3 pbc="T T T"
Ru 9.538 4.901 9.726
Ru 11.709 5.071 3.597
Ru 10.772 3.723 7.371
Ru 2.867 1.186 4.499
Ru 3.804 2.533 0.726
Ru 1.634 2.363 6.856
La 6.501 0.255 5.066
La 8.376 3.471 4.440
La 4.968 3.956 6.016
La 12.872 6.495 8.886
La 5.908 5.308 2.230
La 7.434 2.134 8.218
La 0.470 0.932 1.570
La 6.841 7.187 5.381
As 8.734 5.143 7.471
As 9.714 6.552 3.524
As 12.528 4.715 5.916
As 3.022 6.049 4.027
As 3.615 0.997 6.864
As 10.307 1.500 6.361
As 4.623 2.176 3.046
As 0.829 2.604 4.600
O 7.116 -0.072 7.354
O 6.226 7.506 3.098
O 5.882 1.106 9.710
O 6.820 2.454 5.936
O 8.053 1.276 3.580
O 4.993 8.685 5.454
O 7.757 3.802 2.161
O 6.523 4.980 4.517
Fe 2.571 3.711 3.081
Fe 10.477 6.250 5.952
```

Values from the calculation:
total energy	-121.09	eV/f.u.

6.
VASP calculation (PBE+U) on Li4V3P8O29 after structural relaxation.

Structure (extended XYZ):
```
88
Lattice="9.740 0.000 0.000 4.833 8.498 0.000 0.124 0.018 14.340" Properties=species:S:1:pos:R:3 pbc="T T T"
Li 0.000 0.000 0.000
Li 2.870 4.852 7.318
Li 4.892 6.980 5.646
Li 4.339 0.048 7.355
Li 4.990 1.188 0.096
Li 11.870 8.238 6.523
Li 12.004 7.704 13.347
Li 11.201 4.905 0.048
V 6.410 7.743 2.799
V 4.373 4.022 10.089
V 4.946 2.929 2.856
V 7.720 7.723 10.008
V 9.765 3.988 2.926
V 9.229 2.926 9.976
P 4.068 5.821 1.563
P 4.809 6.961 8.724
P 2.166 2.095 1.183
P 2.263 2.108 8.329
P 7.013 4.909 4.517
P 7.157 4.879 11.675
P 9.282 8.479 4.208
P 5.173 1.134 11.370
P 6.454 1.839 8.801
P 9.360 6.981 1.644
P 7.729 1.810 1.569
P 10.086 5.855 8.754
P 8.942 1.089 4.201
P 11.292 5.092 11.352
P 14.524 8.487 11.285
P 12.605 5.043 4.166
O 3.281 5.688 5.455
O 5.082 8.442 4.062
O 3.078 4.803 11.154
O 2.221 2.272 6.849
O 1.386 0.832 1.688
O 2.286 2.223 14.035
O 2.968 3.371 8.969
O 5.059 7.011 1.531
O 4.318 5.484 8.806
O 6.304 8.449 11.156
O 3.611 3.700 3.914
O 4.817 4.473 1.741
O 6.342 7.019 8.906
O 3.636 2.028 1.744
O 3.024 0.826 8.792
O 6.259 6.151 3.978
O 5.691 4.835 11.017
O 4.417 2.477 11.163
O 7.770 8.467 3.998
O 5.607 3.121 8.919
O 7.804 7.028 1.764
O 9.006 8.481 11.137
O 4.994 1.424 3.911
O 6.319 3.655 3.815
O 7.032 4.810 5.993
O 7.835 6.120 11.066
O 7.092 4.772 13.146
O 6.208 2.135 1.565
O 9.064 7.017 8.717
O 9.786 8.013 5.533
O 5.884 1.004 12.674
O 6.060 0.931 7.683
O 9.917 7.766 0.504
O 6.245 1.030 10.187
O 9.927 7.570 3.040
O 8.459 4.888 3.847
O 7.854 3.646 10.976
O 7.960 2.181 8.774
O 9.839 5.501 1.626
O 8.536 3.130 1.773
O 9.365 4.492 8.901
O 10.886 6.073 10.158
O 7.987 0.962 2.912
O 8.127 0.938 5.424
O 8.117 0.978 0.398
O 11.065 5.943 7.633
O 11.100 5.804 12.653
O 9.673 2.467 4.003
O 9.166 1.443 11.103
O 10.504 3.784 11.170
O 11.081 4.793 4.051
O 11.211 3.351 1.848
O 10.587 2.091 9.021
O 13.969 7.921 12.558
O 13.903 7.683 10.014
O 12.831 5.875 0.438
O 12.994 6.022 2.966
O 14.058 7.560 7.446
```

Values from the calculation:
total energy	-310.05	eV/f.u.

Copy entry 3 word for word.
VASP calculation (PBE+U) on LiCr2P3O12 after structural relaxation.

Structure (extended XYZ):
```
72
Lattice="-5.800 5.800 5.786 5.800 -5.800 5.786 5.800 5.800 -5.786" Properties=species:S:1:pos:R:3 pbc="T T T"
Li 5.800 2.900 -1.447
Li 0.000 2.900 1.447
Li 5.800 2.900 4.340
Li 0.000 2.900 7.233
Cr 0.000 0.000 0.000
Cr 2.900 2.900 -2.893
Cr 2.900 -2.900 2.893
Cr 5.800 0.000 0.000
Cr -2.900 2.900 2.893
Cr 0.000 5.800 0.000
Cr 0.000 0.000 5.786
Cr 2.900 2.900 2.893
P 2.900 1.438 0.000
P 5.800 -2.900 4.340
P 1.461 0.000 2.893
P 7.261 0.000 2.893
P 5.800 2.900 1.447
P 2.900 -1.438 5.786
P 2.900 7.238 0.000
P 0.000 2.900 4.340
P -1.461 5.800 2.893
P 4.338 5.800 2.893
P 0.000 8.700 1.447
P 2.900 4.361 5.786
O 9.826 -0.512 0.521
O 4.708 3.406 -3.354
O 4.708 -2.394 3.354
O 4.027 0.512 0.521
O 6.308 -0.538 1.780
O 2.388 -1.127 2.373
O 3.438 2.392 -1.113
O 5.294 -3.991 5.325
O 6.306 1.808 0.461
O 2.388 4.673 -2.373
O 8.162 3.408 -1.113
O 0.508 0.538 1.780
O 6.308 5.262 -1.780
O 2.362 2.392 1.113
O 8.187 1.127 2.373
O 0.506 3.991 -0.461
O 5.294 3.991 0.461
O 3.438 -2.392 6.900
O 2.388 1.127 3.414
O 6.308 0.538 4.006
O 4.027 -0.512 5.266
O 4.708 2.394 2.432
O -1.092 2.394 3.354
O 4.027 6.312 -0.521
O 1.773 -0.512 6.307
O 6.891 3.406 2.432
O 1.092 3.406 3.354
O 1.773 6.312 0.521
O -0.508 5.262 1.780
O 3.412 4.673 2.373
O 2.362 8.192 -1.113
O 0.506 1.808 5.325
O 5.294 1.808 6.247
O -2.388 4.673 3.414
O 3.438 3.408 4.673
O -0.508 0.538 7.566
O 5.292 5.262 4.006
O -2.362 2.392 6.900
O 3.412 1.127 8.159
O -0.506 3.991 5.325
O 0.506 9.791 0.461
O 2.362 3.408 6.900
O 3.412 6.927 3.414
O -0.508 6.337 4.006
O 1.773 5.288 5.266
O 1.092 8.194 2.432
O 1.092 2.394 9.141
O -4.027 6.312 5.266
```

Values from the calculation:
total energy	-127.76	eV/f.u.